1.
Computed, not measured: a geometry-optimized Zn2NiO3 structure at the GGA+U level of DFT.

Calculated values
formation energy: -1492 meV/atom
volume: 59.6 Å³/f.u.
space group: Immm, No. 71
final energy: -27.5 eV/cell
total magnetization: 2.00 μB/f.u.
crystal system: orthorhombic

Cell: 5.266 5.266 5.266 Å, 146.43 131.83 59.99°
Fractional coordinates of all 6 atoms:
1 Zn 0.166 0.166 0.000
2 Zn 0.834 0.834 0.000
3 Ni 0.500 0.500 0.000
4 O 0.000 0.500 0.500
5 O 0.336 0.836 0.500
6 O 0.664 0.164 0.500

***

2.
Computed, not measured: a geometry-optimized LiMn7O12 structure at the GGA+U level of DFT.

Calculated values
formation energy: -1952 meV/atom
volume: 213.5 Å³/f.u.
space group: I4_1/acd, No. 142
final energy: -578.1 eV/cell
offset from the most stable computed form: 0.0 meV per atom
total magnetization: 26.00 μB/f.u.
crystal system: tetragonal

Cell: 11.503 11.503 11.503 Å, 130.74 130.74 72.23°
Fractional coordinates of all 80 atoms:
1 Li 0.125 0.875 0.250
2 Li 0.375 0.625 0.750
3 Li 0.625 0.375 0.250
4 Li 0.875 0.125 0.750
5 Mn 0.000 0.000 0.000
6 Mn 0.000 0.000 0.500
7 Mn 0.000 0.500 0.000
8 Mn 0.000 0.500 0.500
9 Mn 0.101 0.399 0.250
10 Mn 0.125 0.375 0.750
11 Mn 0.149 0.899 0.799
12 Mn 0.197 0.250 0.447
13 Mn 0.250 0.303 0.053
14 Mn 0.250 0.803 0.553
15 Mn 0.303 0.750 0.053
16 Mn 0.351 0.149 0.750
17 Mn 0.375 0.125 0.250
18 Mn 0.399 0.649 0.299
19 Mn 0.500 0.000 0.000
20 Mn 0.500 0.000 0.500
21 Mn 0.500 0.500 0.000
22 Mn 0.500 0.500 0.500
23 Mn 0.601 0.351 0.701
24 Mn 0.625 0.875 0.750
25 Mn 0.649 0.851 0.250
26 Mn 0.697 0.250 0.947
27 Mn 0.750 0.197 0.447
28 Mn 0.750 0.697 0.947
29 Mn 0.803 0.750 0.553
30 Mn 0.851 0.101 0.201
31 Mn 0.875 0.625 0.250
32 Mn 0.899 0.601 0.750
33 O 0.002 0.297 0.420
34 O 0.025 0.318 0.992
35 O 0.033 0.025 0.207
36 O 0.081 0.876 0.580
37 O 0.087 0.606 0.304
38 O 0.106 0.587 0.804
39 O 0.124 0.203 0.205
40 O 0.174 0.967 0.492
41 O 0.182 0.475 0.508
42 O 0.198 0.217 0.804
43 O 0.203 0.498 0.080
44 O 0.217 0.913 0.018
45 O 0.283 0.302 0.696
46 O 0.297 0.376 0.295
47 O 0.302 0.106 0.018
48 O 0.318 0.826 0.293
49 O 0.326 0.818 0.793
50 O 0.376 0.581 0.080
51 O 0.394 0.198 0.482
52 O 0.413 0.717 0.518
53 O 0.419 0.998 0.795
54 O 0.467 0.674 0.992
55 O 0.475 0.467 0.293
56 O 0.498 0.919 0.295
57 O 0.502 0.081 0.705
58 O 0.525 0.533 0.707
59 O 0.533 0.326 0.008
60 O 0.581 0.002 0.205
61 O 0.587 0.283 0.482
62 O 0.606 0.802 0.518
63 O 0.624 0.419 0.920
64 O 0.674 0.182 0.207
65 O 0.682 0.174 0.707
66 O 0.698 0.894 0.982
67 O 0.703 0.624 0.705
68 O 0.717 0.698 0.304
69 O 0.783 0.087 0.982
70 O 0.797 0.502 0.920
71 O 0.802 0.783 0.196
72 O 0.818 0.525 0.492
73 O 0.826 0.033 0.508
74 O 0.876 0.797 0.795
75 O 0.894 0.413 0.196
76 O 0.913 0.394 0.696
77 O 0.919 0.124 0.420
78 O 0.967 0.975 0.793
79 O 0.975 0.682 0.008
80 O 0.998 0.703 0.580

***

3.
Computed, not measured: a geometry-optimized Li4V3C6O18 structure at the GGA+U level of DFT.

Calculated values
formation energy: -2101 meV/atom
volume: 312.9 Å³/f.u.
space group: P-1, No. 2
final energy: -227.0 eV/cell
total magnetization: 7.20 μB/f.u.
crystal system: triclinic

Cell: 4.747 5.992 12.250 Å, 100.98 90.16 113.32°
Fractional coordinates of all 31 atoms:
1 Li 0.101 0.196 0.108
2 Li 0.247 0.487 0.573
3 Li 0.753 0.513 0.427
4 Li 0.899 0.804 0.892
5 V 0.165 0.329 0.832
6 V 0.500 0.000 0.500
7 V 0.835 0.671 0.168
8 C 0.048 0.099 0.365
9 C 0.288 0.578 0.304
10 C 0.383 0.761 0.030
11 C 0.617 0.239 0.970
12 C 0.712 0.422 0.696
13 C 0.952 0.901 0.635
14 O 0.099 0.493 0.215
15 O 0.114 0.999 0.270
16 O 0.116 0.778 0.035
17 O 0.203 0.657 0.399
18 O 0.216 0.889 0.624
19 O 0.258 0.199 0.450
20 O 0.422 0.154 0.884
21 O 0.441 0.425 0.701
22 O 0.450 0.662 0.935
23 O 0.550 0.338 0.065
24 O 0.559 0.575 0.299
25 O 0.578 0.846 0.116
26 O 0.742 0.801 0.550
27 O 0.784 0.111 0.376
28 O 0.797 0.343 0.601
29 O 0.884 0.222 0.965
30 O 0.886 0.001 0.730
31 O 0.901 0.507 0.785

***

4.
Computed, not measured: a geometry-optimized MnSO5 structure at the GGA+U level of DFT.

Calculated values
formation energy: -1696 meV/atom
volume: 88.3 Å³/f.u.
space group: C2/c, No. 15
final energy: -89.6 eV/cell
offset from the most stable computed form: 3.2 meV per atom
total magnetization: 3.00 μB/f.u.
crystal system: monoclinic

Cell: 5.335 5.335 6.956 Å, 105.91 105.91 99.61°
Fractional coordinates of all 14 atoms:
1 Mn 0.000 0.000 0.000
2 Mn 0.000 0.000 0.500
3 S 0.336 0.664 0.750
4 S 0.664 0.336 0.250
5 O 0.075 0.925 0.250
6 O 0.148 0.683 0.875
7 O 0.268 0.382 0.605
8 O 0.317 0.852 0.625
9 O 0.382 0.268 0.105
10 O 0.618 0.732 0.895
11 O 0.683 0.148 0.375
12 O 0.732 0.618 0.395
13 O 0.852 0.317 0.125
14 O 0.925 0.075 0.750

***

5.
Computed, not measured: a geometry-optimized Mg6MnCuO8 structure at the GGA+U level of DFT.

Calculated values
formation energy: -2634 meV/atom
volume: 157.6 Å³/f.u.
space group: P4/mmm, No. 123
final energy: -97.4 eV/cell
offset from the most stable computed form: 0.0 meV per atom
total magnetization: 4.22 μB/f.u.
crystal system: tetragonal

Cell: 4.275 4.275 8.626 Å, 90.00 90.00 90.00°
Fractional coordinates of all 16 atoms:
1 Mg 0.000 0.000 0.000
2 Mg 0.000 0.000 0.500
3 Mg 0.000 0.500 0.244
4 Mg 0.000 0.500 0.756
5 Mg 0.500 0.000 0.244
6 Mg 0.500 0.000 0.756
7 Mn 0.500 0.500 0.500
8 Cu 0.500 0.500 0.000
9 O 0.000 0.000 0.250
10 O 0.000 0.000 0.750
11 O 0.000 0.500 0.000
12 O 0.000 0.500 0.500
13 O 0.500 0.000 0.000
14 O 0.500 0.000 0.500
15 O 0.500 0.500 0.254
16 O 0.500 0.500 0.746

***

6.
Computed, not measured: a geometry-optimized Li4Mn3Fe3Te2O16 structure at the GGA+U level of DFT.

Calculated values
formation energy: -1890 meV/atom
volume: 314.2 Å³/f.u.
space group: Cm, No. 8
final energy: -176.1 eV/cell
total magnetization: 27.00 μB/f.u.
crystal system: monoclinic

Cell: 6.062 6.062 9.891 Å, 91.08 91.08 59.85°
Fractional coordinates of all 28 atoms:
1 Li 0.000 0.000 0.000
2 Li 0.002 0.002 0.504
3 Li 0.337 0.337 0.579
4 Li 0.667 0.667 0.077
5 Mn 0.169 0.169 0.277
6 Mn 0.342 0.826 0.779
7 Mn 0.826 0.342 0.779
8 Fe 0.167 0.667 0.276
9 Fe 0.667 0.167 0.276
10 Fe 0.828 0.828 0.773
11 Te 0.332 0.332 0.007
12 Te 0.668 0.668 0.505
13 O 0.000 0.000 0.696
14 O 0.006 0.006 0.185
15 O 0.043 0.485 0.137
16 O 0.170 0.651 0.901
17 O 0.171 0.171 0.903
18 O 0.326 0.833 0.393
19 O 0.332 0.332 0.374
20 O 0.481 0.481 0.138
21 O 0.485 0.043 0.137
22 O 0.522 0.522 0.634
23 O 0.529 0.969 0.640
24 O 0.651 0.170 0.901
25 O 0.670 0.670 0.878
26 O 0.833 0.326 0.393
27 O 0.840 0.840 0.384
28 O 0.969 0.529 0.640

***

- The highest final energy belongs to which entry?
  Zn2NiO3

***

- Among the records above, which one has the highest volume?
  Li4Mn3Fe3Te2O16

***

- What is the formation energy in the third record?
  -2101 meV/atom

***

- The highest volume belongs to which entry?
  Li4Mn3Fe3Te2O16